Material: Sm2SeOF2
Method: DFT, PBE
State: optimized geometry

Cell and atoms, written as POSCAR:
```
Sm2SeOF2
1.0
13.730 0.000 0.000
-6.865 11.891 0.000
0.000 0.000 3.850
Sm Se O F
12 6 6 12
direct
0.054 0.766 0.250 Sm
0.118 0.515 0.250 Sm
0.234 0.288 0.250 Sm
0.288 0.054 0.750 Sm
0.397 0.882 0.250 Sm
0.485 0.603 0.250 Sm
0.515 0.397 0.750 Sm
0.603 0.118 0.750 Sm
0.712 0.946 0.250 Sm
0.766 0.712 0.750 Sm
0.882 0.485 0.750 Sm
0.946 0.234 0.750 Sm
0.205 0.719 0.750 Se
0.281 0.487 0.750 Se
0.487 0.205 0.250 Se
0.513 0.795 0.750 Se
0.719 0.513 0.250 Se
0.795 0.281 0.250 Se
0.015 0.427 0.750 O
0.412 0.985 0.750 O
0.427 0.412 0.250 O
0.573 0.588 0.750 O
0.588 0.015 0.250 O
0.985 0.573 0.250 O
0.068 0.315 0.250 F
0.100 0.892 0.750 F
0.108 0.208 0.750 F
0.208 0.100 0.250 F
0.247 0.932 0.250 F
0.315 0.247 0.750 F
0.685 0.753 0.250 F
0.753 0.068 0.750 F
0.792 0.900 0.750 F
0.892 0.792 0.250 F
0.900 0.108 0.250 F
0.932 0.685 0.750 F
```

DFT formation energy = -3.635 eV per atom
crystal system = hexagonal
M_tot = 0.00 μB/f.u.
symmetry = P6_3/m, No. 176
DFT total energy = -251.46 eV/cell